Record 1
## HoCdHg2 (PBE)

Data for a relaxed structure of HoCdHg2.

Cell lengths 7.2037, 7.2037, 7.2037 Å; angles 90.00, 90.00, 90.00 degrees
Space group Fm-3m (No. 225)
Unique sites:
Ho 0.0000 0.0000 0.0000 [4 per cell]
Cd 0.0000 0.0000 0.5000 [4 per cell]
Hg 0.2500 0.2500 0.2500 [8 per cell]

***

Record 2
## Cs2P3Se6 (PBE)

Data for a relaxed structure of Cs2P3Se6.

Cell lengths 11.1711, 10.8484, 15.6127 Å; angles 90.00, 126.02, 90.00 degrees
Space group P2_1/c (No. 14)
Unique sites:
Cs 0.1548 0.9996 0.1784 [4 per cell]
Cs 0.2559 0.0010 0.7460 [4 per cell]
P 0.1397 0.2009 0.4444 [4 per cell]
P 0.3526 0.1832 0.0569 [4 per cell]
P 0.4958 0.0492 0.5619 [4 per cell]
Se 0.0020 0.2120 0.4993 [4 per cell]
Se 0.0332 0.2450 0.2796 [4 per cell]
Se 0.2470 0.0029 0.4859 [4 per cell]
Se 0.2987 0.5073 0.5106 [4 per cell]
Se 0.4588 0.2348 0.2197 [4 per cell]
Se 0.4846 0.2429 0.4954 [4 per cell]

***

Record 3
## LiCu6OF11 (PBE)

Data for a relaxed structure of LiCu6OF11.

Cell lengths 4.6926, 5.4043, 9.0291 Å; angles 89.79, 88.95, 89.67 degrees
Space group P1 (No. 1)
Unique sites:
Li 0.0000 0.0000 0.0000 [1 per cell]
Cu 0.2700 0.5052 0.7731 [1 per cell]
Cu 0.3185 0.8185 0.4925 [1 per cell]
Cu 0.3497 0.1806 0.1669 [1 per cell]
Cu 0.7503 0.9792 0.7505 [1 per cell]
Cu 0.7766 0.6451 0.1426 [1 per cell]
Cu 0.7860 0.3229 0.4561 [1 per cell]
O 0.4669 0.7707 0.6881 [1 per cell]
F 0.0384 0.2150 0.8423 [1 per cell]
F 0.0644 0.5324 0.5331 [1 per cell]
F 0.0983 0.8623 0.1901 [1 per cell]
F 0.4902 0.4510 0.0456 [1 per cell]
F 0.4978 0.1059 0.3801 [1 per cell]
F 0.5452 0.2735 0.6937 [1 per cell]
F 0.5838 0.6021 0.3726 [1 per cell]
F 0.6099 0.9525 0.0584 [1 per cell]
F 0.9729 0.7259 0.8590 [1 per cell]
F 0.9868 0.0413 0.5323 [1 per cell]
F 0.9867 0.3500 0.2060 [1 per cell]

Output
The calculation puts the energy above the lowest structure with this stoichiometry at 40.7 meV/atom. As for the magnetization: 0.8 Bohr magnetons per cell.

***

Record 4
## UPSe (PBE)

Data for a relaxed structure of UPSe.

Cell lengths 3.8756, 3.8756, 8.3176 Å; angles 90.00, 90.00, 90.00 degrees
Space group P4/nmm (No. 129, origin choice 2)
Unique sites:
U 0.2500 0.2500 0.2450 [2 per cell]
P 0.2500 0.7500 0.5000 [2 per cell]
Se 0.2500 0.2500 0.8660 [2 per cell]

***

Record 5
## CdN4Cl6 (PBE)

Data for a relaxed structure of CdN4Cl6.

Cell lengths 17.9681, 17.9681, 7.9374 Å; angles 90.00, 90.00, 120.00 degrees
Space group R-3c (No. 167, hexagonal axes)
Unique sites:
Cd 0.0000 0.0000 0.0000 [6 per cell]
N 0.0000 0.0000 0.2500 [6 per cell]
N 0.0000 0.3975 0.2500 [18 per cell]
Cl 0.0764 0.4891 0.1539 [36 per cell]

Output
The calculation puts the energy above the lowest structure with this stoichiometry at 0.0 meV/atom. As for the magnetization: 24.0 Bohr magnetons per cell.

***

Record 6
## Ba6Fe25S27 (PBE)

Data for a relaxed structure of Ba6Fe25S27.

Cell lengths 9.8201, 9.8201, 9.8201 Å; angles 90.00, 90.00, 90.00 degrees
Space group Pm-3m (No. 221)
Unique sites:
Ba 0.0000 0.0000 0.3061 [6 per cell]
Fe 0.1383 0.3670 0.3670 [24 per cell]
Fe 0.5000 0.5000 0.5000 [1 per cell]
S 0.0000 0.0000 0.0000 [1 per cell]
S 0.0000 0.2551 0.5000 [12 per cell]
S 0.2251 0.2251 0.2251 [8 per cell]
S 0.2626 0.5000 0.5000 [6 per cell]

Output
As for the magnetization: 11.0 Bohr magnetons per cell.

***

Record 7
## RbMgPO4 (PBE)

Data for a relaxed structure of RbMgPO4.

Cell lengths 8.7797, 9.3789, 5.4724 Å; angles 90.00, 90.00, 90.00 degrees
Space group Pna2_1 (No. 33)
Unique sites:
Rb 0.0033 0.2220 0.0000 [4 per cell]
Mg 0.1870 0.5852 0.0158 [4 per cell]
P 0.2092 0.4232 0.5134 [4 per cell]
O 0.0335 0.4219 0.4971 [4 per cell]
O 0.2237 0.9492 0.7536 [4 per cell]
O 0.2350 0.7791 0.1195 [4 per cell]
O 0.2371 0.0452 0.1858 [4 per cell]

Output
The calculation puts the energy above the lowest structure with this stoichiometry at 5.0 meV/atom. As for the magnetization: 0.0 Bohr magnetons per cell.

***

Record 8
## ZnAg2P2O7 (PBE)

Data for a relaxed structure of ZnAg2P2O7.

Cell lengths 7.9036, 7.9036, 10.6122 Å; angles 90.00, 90.00, 90.00 degrees
Space group P4_2/mnm (No. 136)
Unique sites:
Zn 0.0000 0.5000 0.2500 [4 per cell]
Ag 0.1395 0.1395 0.0000 [4 per cell]
Ag 0.2008 0.2008 0.5000 [4 per cell]
P 0.1372 0.8628 0.2886 [8 per cell]
O 0.0000 0.0000 0.3427 [4 per cell]
O 0.0798 0.6950 0.3498 [16 per cell]
O 0.1346 0.8654 0.1453 [8 per cell]

Output
As for the magnetization: 0.0 Bohr magnetons per cell.

***

Record 9
## Ti3H2O7 (PBE)

Data for a relaxed structure of Ti3H2O7.

Cell lengths 3.7796, 9.4947, 16.0668 Å; angles 83.09, 83.59, 89.96 degrees
Space group P1 (No. 1)
Unique sites:
Ti 0.0000 0.0000 0.0000 [1 per cell]
Ti 0.0070 0.6865 0.9741 [1 per cell]
Ti 0.4128 0.3552 0.1798 [1 per cell]
Ti 0.4259 0.0411 0.1533 [1 per cell]
Ti 0.4415 0.7290 0.1216 [1 per cell]
Ti 0.9856 0.3121 0.0329 [1 per cell]
H 0.0581 0.7463 0.8050 [1 per cell]
H 0.2129 0.5911 0.8169 [1 per cell]
H 0.3270 0.2859 0.3489 [1 per cell]
H 0.3297 0.4596 0.3437 [1 per cell]
O 0.0101 0.6493 0.8325 [1 per cell]
O 0.0210 0.4802 0.9741 [1 per cell]
O 0.0235 0.1813 0.9523 [1 per cell]
O 0.0394 0.8713 0.9197 [1 per cell]
O 0.3463 0.3767 0.3135 [1 per cell]
O 0.3872 0.1681 0.2330 [1 per cell]
O 0.4029 0.8595 0.2017 [1 per cell]
O 0.4126 0.5618 0.1815 [1 per cell]
O 0.4676 0.2840 0.0688 [1 per cell]
O 0.4828 0.9728 0.0354 [1 per cell]
O 0.4997 0.6759 0.9996 [1 per cell]
O 0.9259 0.3665 0.1539 [1 per cell]
O 0.9431 0.0681 0.1180 [1 per cell]
O 0.9588 0.7565 0.0851 [1 per cell]

Output
The calculation puts the energy above the lowest structure with this stoichiometry at 60.7 meV/atom. As for the magnetization: 0.0 Bohr magnetons per cell.

***

Record 10
## KCeF4 (PBE)

Data for a relaxed structure of KCeF4.

Cell lengths 4.0795, 4.0795, 6.2216 Å; angles 90.00, 90.00, 90.00 degrees
Space group P4/mmm (No. 123)
Unique sites:
K 0.0000 0.0000 0.0000 [1 per cell]
Ce 0.5000 0.5000 0.5000 [1 per cell]
F 0.0000 0.5000 0.2860 [4 per cell]

***

Record 11
## Nb5Ga3 (PBE)

Data for a relaxed structure of Nb5Ga3.

Cell lengths 10.5647, 10.5647, 5.0698 Å; angles 90.00, 90.00, 90.00 degrees
Space group I4/mcm (No. 140)
Unique sites:
Nb 0.0000 0.5000 0.2500 [4 per cell]
Nb 0.0778 0.2332 0.0000 [16 per cell]
Ga 0.0000 0.0000 0.0000 [4 per cell]
Ga 0.1659 0.3341 0.5000 [8 per cell]

Output
The calculation puts the energy above the lowest structure with this stoichiometry at 244.6 meV/atom. As for the magnetization: 0.0 Bohr magnetons per cell.

***

Record 12
## MnSbSe2Br (PBE)

Data for a relaxed structure of MnSbSe2Br.

Cell lengths 10.9001, 3.9255, 27.6069 Å; angles 90.00, 90.17, 90.00 degrees
Space group Pm (No. 6)
Unique sites:
Mn 0.0000 0.0000 0.0000 [1 per cell]
Mn 0.0015 0.0000 0.5012 [1 per cell]
Mn 0.0699 0.0000 0.2448 [1 per cell]
Mn 0.4258 0.0000 0.7445 [1 per cell]
Mn 0.5008 0.0000 0.0006 [1 per cell]
Mn 0.5152 0.0000 0.4978 [1 per cell]
Mn 0.5767 0.0000 0.2562 [1 per cell]
Mn 0.9312 0.0000 0.7559 [1 per cell]
Sb 0.1462 0.0000 0.3567 [1 per cell]
Sb 0.1740 0.5000 0.6026 [1 per cell]
Sb 0.3291 0.5000 0.1037 [1 per cell]
Sb 0.3532 0.0000 0.8563 [1 per cell]
Sb 0.6488 0.0000 0.1445 [1 per cell]
Sb 0.6727 0.5000 0.8974 [1 per cell]
Sb 0.8262 0.5000 0.3974 [1 per cell]
Sb 0.8549 0.0000 0.6445 [1 per cell]
Se 0.0497 0.5000 0.4347 [1 per cell]
Se 0.0772 0.0000 0.6811 [1 per cell]
Se 0.2186 0.5000 0.2917 [1 per cell]
Se 0.2305 0.0000 0.5358 [1 per cell]
Se 0.2705 0.0000 0.0364 [1 per cell]
Se 0.2788 0.5000 0.7913 [1 per cell]
Se 0.4276 0.0000 0.1816 [1 per cell]
Se 0.4497 0.5000 0.9345 [1 per cell]
Se 0.5524 0.5000 0.0668 [1 per cell]
Se 0.5745 0.0000 0.8194 [1 per cell]
Se 0.7233 0.5000 0.2096 [1 per cell]
Se 0.7315 0.0000 0.9647 [1 per cell]
Se 0.7673 0.0000 0.4650 [1 per cell]
Se 0.7819 0.5000 0.7093 [1 per cell]
Se 0.9235 0.0000 0.3200 [1 per cell]
Se 0.9493 0.5000 0.5663 [1 per cell]
Br 0.0555 0.5000 0.1834 [1 per cell]
Br 0.0839 0.0000 0.9219 [1 per cell]
Br 0.4174 0.0000 0.4216 [1 per cell]
Br 0.4450 0.5000 0.6834 [1 per cell]
Br 0.5564 0.5000 0.3174 [1 per cell]
Br 0.5811 0.0000 0.5785 [1 per cell]
Br 0.9192 0.0000 0.0784 [1 per cell]
Br 0.9464 0.5000 0.8174 [1 per cell]

Output
The calculation puts the energy above the lowest structure with this stoichiometry at 117.3 meV/atom. As for the magnetization: 40.0 Bohr magnetons per cell.

***

Record 13
## CeRh3 (PBE)

Data for a relaxed structure of CeRh3.

Cell lengths 4.0708, 4.0708, 4.0708 Å; angles 90.00, 90.00, 90.00 degrees
Space group Pm-3m (No. 221)
Unique sites:
Ce 0.0000 0.0000 0.0000 [1 per cell]
Rh 0.0000 0.5000 0.5000 [3 per cell]

***

| no. | formation energy from the elements (meV per atom) | DFT total energy (eV/cell) |
| --- | --- | --- |
| 1 | -356 | -30.15 |
| 2 | -767 | -178.45 |
| 3 | -1762 | -80.23 |
| 4 | -1132 | -46.25 |
| 5 | 564 | -212.83 |
| 6 | -908 | -374.01 |
| 7 | -2905 | -181.48 |
| 8 | -1982 | -285.47 |
| 9 | -2849 | -188.98 |
| 10 | -3914 | -36.34 |
| 11 | -87 | -241.16 |
| 12 | -443 | -188.80 |
| 13 | -635 | -30.56 |